Record 1
A plane-wave DFT calculation with PBE was carried out for a relaxed Ta2I5 crystal.

Values from the calculation:
The calculation puts the MP2020-corrected energy at -33.47 eV/cell. The calculated density is 4.57 g/cm³. The value obtained for the formation energy from the elements is -2.139 eV per formula unit.

abc: 6.4773 6.4937 9.0573
angles: 85.50 86.55 72.39
Space group P1 (No. 1)
Inequivalent atoms, fractional coordinates:
1 Ta 0.0000 0.0000 0.0000
2 Ta 0.3503 0.6476 0.9996
3 I 0.1716 0.8098 0.2628
4 I 0.1735 0.3366 0.9019
5 I 0.1919 0.8491 0.7232
6 I 0.6621 0.3054 0.1850
7 I 0.6777 0.8373 0.9089

Record 2
A plane-wave DFT calculation with PBE was carried out for a relaxed RbGaSe2O8 crystal.

Values from the calculation:
The calculation puts the MP2020-corrected energy at -68.75 eV/cell. The calculated density is 3.52 g/cm³. The value obtained for the formation energy from the elements is -18.168 eV per formula unit.

abc: 5.1496 5.1496 9.0722
angles: 90.00 90.00 120.00
Space group P321 (No. 150)
Inequivalent atoms, fractional coordinates:
1 Rb 0.0000 0.0000 0.0000
2 Ga 0.0000 0.0000 0.5000
3 Se 0.3333 0.6667 0.6999
4 O 0.0682 0.3263 0.6416
5 O 0.3333 0.6667 0.8811

Record 3
A plane-wave DFT calculation with PBE was carried out for a relaxed Te8I3 crystal.

Values from the calculation:
The calculation puts the MP2020-corrected energy at -58.66 eV/cell. The calculated density is 2.44 g/cm³. The value obtained for the formation energy from the elements is 0.390 eV per formula unit.

abc: 4.5488 4.6416 90.4492
angles: 90.00 90.88 90.00
Space group Cm (No. 8)
Inequivalent atoms, fractional coordinates:
1 Te 0.0000 0.0000 0.0000
2 Te 0.9999 0.0000 0.1076
3 Te 0.9999 0.0000 0.8842
4 Te 0.0070 0.0000 0.7637
5 Te 0.0068 0.0000 0.9176
6 Te 0.0164 0.0000 0.0305
7 Te 0.4926 0.5000 0.8507
8 Te 0.4941 0.5000 0.7320
9 I 0.0000 0.5000 0.0652
10 I 0.0053 0.5000 0.8048
11 I 0.0087 0.5000 0.9620

Record 4
A plane-wave DFT calculation with PBE was carried out for a relaxed Rb3Er3P4S16 crystal.

Values from the calculation:
The calculation puts the MP2020-corrected energy at -560.84 eV/cell. The calculated density is 3.30 g/cm³. The value obtained for the formation energy from the elements is -35.729 eV per formula unit.

abc: 9.2959 16.3408 19.9899
angles: 90.00 112.28 90.00
Space group P2_1/c (No. 14)
Inequivalent atoms, fractional coordinates:
1 Rb 0.1714 0.0330 0.2694
2 Rb 0.2804 0.6053 0.5671
3 Rb 0.2872 0.5059 0.0822
4 Er 0.0477 0.7277 0.8363
5 Er 0.2285 0.2251 0.9141
6 Er 0.4951 0.2392 0.1826
7 P 0.1531 0.7047 0.1895
8 P 0.1627 0.1439 0.0824
9 P 0.2827 0.1248 0.7681
10 P 0.4083 0.6900 0.9682
11 S 0.0207 0.6182 0.3884
12 S 0.0261 0.1441 0.3880
13 S 0.0666 0.6800 0.6957
14 S 0.0879 0.0767 0.6886
15 S 0.1210 0.1040 0.9799
16 S 0.1903 0.2301 0.5899
17 S 0.2030 0.6904 0.9823
18 S 0.2171 0.6551 0.2917
19 S 0.2545 0.2482 0.2742
20 S 0.3149 0.0808 0.8676
21 S 0.3451 0.6420 0.8648
22 S 0.3545 0.7050 0.1719
23 S 0.3595 0.0895 0.1552
24 S 0.4134 0.1296 0.4540
25 S 0.4665 0.1060 0.7376
26 S 0.4954 0.6952 0.4624

Record 5
A plane-wave DFT calculation with PBE was carried out for a relaxed HoCu2S2 crystal.

Values from the calculation:
The calculation puts the MP2020-corrected energy at -26.01 eV/cell. The calculated density is 6.95 g/cm³. The value obtained for the formation energy from the elements is -4.958 eV per formula unit.

abc: 3.9495 3.9495 6.2965
angles: 90.00 90.00 120.00
Space group P-3m1 (No. 164)
Inequivalent atoms, fractional coordinates:
1 Ho 0.0000 0.0000 0.0000
2 Cu 0.3333 0.6667 0.3408
3 S 0.3333 0.6667 0.7360

Record 6
A plane-wave DFT calculation with PBE was carried out for a relaxed Ru3Pb3N5 crystal.

Values from the calculation:
The calculation puts the MP2020-corrected energy at -152.89 eV/cell. The calculated density is 9.03 g/cm³. The value obtained for the formation energy from the elements is 4.200 eV per formula unit.

abc: 6.2155 7.6313 8.2268
angles: 75.65 75.90 89.89
Space group P-1 (No. 2)
Inequivalent atoms, fractional coordinates:
1 Ru 0.0999 0.4303 0.2881
2 Ru 0.1420 0.1878 0.9692
3 Ru 0.3378 0.5437 0.6133
4 Pb 0.2205 0.0430 0.5987
5 Pb 0.3433 0.8329 0.2487
6 Pb 0.3593 0.6759 0.9092
7 N 0.0975 0.3730 0.7859
8 N 0.1350 0.7468 0.5568
9 N 0.1629 0.9428 0.9072
10 N 0.2276 0.2802 0.1330
11 N 0.3410 0.4710 0.3882

Record 7
A plane-wave DFT calculation with PBE was carried out for a relaxed LiCuHCO4 crystal.

Values from the calculation:
The calculation puts the MP2020-corrected energy at -305.54 eV/cell. The calculated density is 2.51 g/cm³. The value obtained for the formation energy from the elements is -12.502 eV per formula unit.

abc: 10.6741 10.6741 5.9438
angles: 90.00 90.00 120.00
Space group P6_3/m (No. 176)
Inequivalent atoms, fractional coordinates:
1 Li 0.1613 0.7956 0.2500
2 Cu 0.0000 0.5000 0.0000
3 H 0.2039 0.5916 0.2500
4 C 0.1911 0.7786 0.7500
5 O 0.0845 0.3591 0.7500
6 O 0.1168 0.4969 0.2500
7 O 0.1481 0.7086 0.5586

Record 8
A plane-wave DFT calculation with PBE was carried out for a relaxed Rb3P3H5N crystal.

Values from the calculation:
The calculation puts the MP2020-corrected energy at -390.73 eV/cell. The calculated density is 2.49 g/cm³. The value obtained for the formation energy from the elements is -4.359 eV per formula unit.

abc: 9.7448 15.4176 13.0634
angles: 90.00 90.00 90.00
Space group Pbca (No. 61)
Inequivalent atoms, fractional coordinates:
1 Rb 0.0598 0.0942 0.0883
2 Rb 0.1018 0.1080 0.5886
3 Rb 0.2339 0.2374 0.3279
4 P 0.0467 0.6407 0.6606
5 P 0.0665 0.6184 0.1451
6 P 0.1280 0.7444 0.0764
7 H 0.1583 0.6095 0.7250
8 H 0.1735 0.0261 0.3641
9 H 0.1767 0.5920 0.2141
10 H 0.1874 0.0361 0.8565
11 H 0.2024 0.5480 0.9516
12 N 0.2499 0.0025 0.9065

Record 9
A plane-wave DFT calculation with PBE was carried out for a relaxed HoB4 crystal.

Values from the calculation:
The calculated density is 6.87 g/cm³. The value obtained for the formation energy from the elements is -2.958 eV per formula unit.

abc: 7.0862 7.0862 4.0082
angles: 90.00 90.00 90.00
Space group P4/mbm (No. 127)
Inequivalent atoms, fractional coordinates:
1 Ho 0.1823 0.3177 0.0000
2 B 0.0000 0.0000 0.2027
3 B 0.0385 0.8236 0.5000
4 B 0.0869 0.5869 0.5000

Record 10
A plane-wave DFT calculation with PBE was carried out for a relaxed CaSi crystal.

Values from the calculation:
The calculation puts the MP2020-corrected energy at -33.75 eV/cell. The calculated density is 2.38 g/cm³. The value obtained for the formation energy from the elements is -1.006 eV per formula unit.

abc: 4.5600 10.7053 3.9015
angles: 90.00 90.00 90.00
Space group Cmcm (No. 63)
Inequivalent atoms, fractional coordinates:
1 Ca 0.0000 0.1386 0.2500
2 Si 0.0000 0.4310 0.2500

Record 11
A plane-wave DFT calculation with PBE was carried out for a relaxed K2ReH9 crystal.

Values from the calculation:
For the maximum piezoelectric response, the calculation gives 0.25 C/m². The calculation puts the MP2020-corrected energy at -149.81 eV/cell. The calculated density is 3.05 g/cm³. The value obtained for the formation energy from the elements is -4.737 eV per formula unit.

abc: 9.5968 9.5968 5.6073
angles: 90.00 90.00 120.00
Space group P-62m (No. 189)
Inequivalent atoms, fractional coordinates:
1 K 0.0000 0.2616 0.0000
2 K 0.0000 0.5889 0.5000
3 Re 0.0000 0.0000 0.5000
4 Re 0.3333 0.6667 0.0000
5 H 0.0000 0.1757 0.5000
6 H 0.0000 0.8729 0.2865
7 H 0.1429 0.6315 0.0000
8 H 0.2238 0.5319 0.2199

| no. | DFT total energy (eV/atom) |
| --- | --- |
| 1 | -4.511 |
| 2 | -5.271 |
| 3 | -2.563 |
| 4 | -5.083 |
| 5 | -5.001 |
| 6 | -6.785 |
| 7 | -6.022 |
| 8 | -4.040 |
| 9 | -6.852 |
| 10 | -4.254 |
| 11 | -4.027 |